VASP calculation (PBE with a Hubbard U) on K2FePH5C2O10 after structural relaxation.

Calculated values
* total DFT energy (no corrections): -6.10 eV/atom
* density: 2.39 Mg/m³
* ΔH_f (0 K): -39.78 kcal/mol of atoms

a = 10.485 Å, b = 11.916 Å, c = 15.768 Å
α = 90.00°, β = 90.00°, γ = 90.00°
Atoms (fractional coordinates):
K: 0.800 0.168 0.131
K: 0.172 0.333 0.885
K: 0.300 0.832 0.369
K: 0.828 0.667 0.115
K: 0.672 0.167 0.885
K: 0.328 0.833 0.115
K: 0.328 0.333 0.385
K: 0.800 0.668 0.369
K: 0.700 0.668 0.869
K: 0.300 0.332 0.131
K: 0.828 0.167 0.385
K: 0.172 0.833 0.615
K: 0.672 0.667 0.615
K: 0.700 0.168 0.631
K: 0.200 0.832 0.869
K: 0.200 0.332 0.631
Fe: 0.396 0.083 0.739
Fe: 0.604 0.917 0.261
Fe: 0.396 0.583 0.761
Fe: 0.104 0.083 0.239
Fe: 0.104 0.583 0.261
Fe: 0.604 0.417 0.239
Fe: 0.896 0.417 0.739
Fe: 0.896 0.917 0.761
P: 0.155 0.094 0.023
P: 0.845 0.906 0.977
P: 0.655 0.406 0.023
P: 0.845 0.406 0.523
P: 0.345 0.594 0.977
P: 0.345 0.094 0.523
P: 0.155 0.594 0.477
P: 0.655 0.906 0.477
H: 0.434 0.646 0.458
H: 0.533 0.598 0.040
H: 0.967 0.098 0.960
H: 0.456 0.277 0.582
H: 0.566 0.854 0.958
H: 0.033 0.402 0.460
H: 0.467 0.402 0.960
H: 0.933 0.018 0.604
H: 0.644 0.904 0.082
H: 0.144 0.096 0.418
H: 0.967 0.598 0.540
H: 0.433 0.482 0.604
H: 0.434 0.146 0.042
H: 0.544 0.223 0.082
H: 0.144 0.596 0.082
H: 0.044 0.777 0.418
H: 0.033 0.902 0.040
H: 0.433 0.982 0.896
H: 0.066 0.146 0.542
H: 0.956 0.723 0.918
H: 0.933 0.518 0.896
H: 0.567 0.518 0.396
H: 0.956 0.223 0.582
H: 0.567 0.018 0.104
H: 0.044 0.277 0.082
H: 0.544 0.723 0.418
H: 0.356 0.596 0.582
H: 0.856 0.404 0.918
H: 0.356 0.096 0.918
H: 0.456 0.777 0.918
H: 0.856 0.904 0.582
H: 0.067 0.982 0.396
H: 0.934 0.854 0.458
H: 0.566 0.354 0.542
H: 0.934 0.354 0.042
H: 0.644 0.404 0.418
H: 0.067 0.482 0.104
H: 0.066 0.646 0.958
H: 0.533 0.098 0.460
H: 0.467 0.902 0.540
C: 0.103 0.086 0.759
C: 0.897 0.414 0.259
C: 0.977 0.156 0.765
C: 0.103 0.586 0.741
C: 0.603 0.414 0.759
C: 0.603 0.914 0.741
C: 0.023 0.344 0.265
C: 0.397 0.086 0.259
C: 0.523 0.156 0.265
C: 0.523 0.656 0.235
C: 0.477 0.844 0.735
C: 0.977 0.656 0.735
C: 0.023 0.844 0.235
C: 0.477 0.344 0.765
C: 0.897 0.914 0.241
C: 0.397 0.586 0.241
O: 0.989 0.261 0.763
O: 0.945 0.366 0.451
O: 0.011 0.739 0.237
O: 0.873 0.101 0.770
O: 0.589 0.942 0.126
O: 0.779 0.343 0.000
O: 0.979 0.645 0.934
O: 0.168 0.966 0.020
O: 0.555 0.866 0.549
O: 0.989 0.761 0.737
O: 0.794 0.359 0.251
O: 0.055 0.634 0.549
O: 0.206 0.641 0.749
O: 0.511 0.761 0.237
O: 0.911 0.442 0.874
O: 0.979 0.145 0.566
O: 0.445 0.134 0.451
O: 0.011 0.239 0.263
O: 0.332 0.466 0.980
O: 0.589 0.442 0.374
O: 0.873 0.601 0.730
O: 0.832 0.034 0.980
O: 0.489 0.739 0.737
O: 0.101 0.138 0.109
O: 0.627 0.101 0.270
O: 0.373 0.899 0.730
O: 0.479 0.355 0.566
O: 0.779 0.843 0.500
O: 0.668 0.534 0.020
O: 0.479 0.855 0.934
O: 0.911 0.942 0.626
O: 0.899 0.362 0.609
O: 0.832 0.534 0.520
O: 0.721 0.343 0.500
O: 0.706 0.359 0.751
O: 0.294 0.641 0.249
O: 0.221 0.157 0.500
O: 0.601 0.862 0.391
O: 0.089 0.058 0.374
O: 0.521 0.145 0.066
O: 0.592 0.520 0.761
O: 0.899 0.862 0.891
O: 0.294 0.141 0.251
O: 0.489 0.239 0.763
O: 0.908 0.020 0.239
O: 0.411 0.558 0.626
O: 0.021 0.355 0.066
O: 0.279 0.657 0.500
O: 0.221 0.657 0.000
O: 0.627 0.601 0.230
O: 0.721 0.843 0.000
O: 0.908 0.520 0.261
O: 0.092 0.480 0.739
O: 0.555 0.366 0.951
O: 0.101 0.638 0.391
O: 0.592 0.020 0.739
O: 0.021 0.855 0.434
O: 0.668 0.034 0.480
O: 0.092 0.980 0.761
O: 0.408 0.980 0.261
O: 0.168 0.466 0.480
O: 0.055 0.134 0.951
O: 0.206 0.141 0.751
O: 0.521 0.645 0.434
O: 0.511 0.261 0.263
O: 0.089 0.558 0.126
O: 0.945 0.866 0.049
O: 0.332 0.966 0.520
O: 0.127 0.399 0.270
O: 0.399 0.138 0.609
O: 0.127 0.899 0.230
O: 0.399 0.638 0.891
O: 0.411 0.058 0.874
O: 0.706 0.859 0.749
O: 0.279 0.157 0.000
O: 0.408 0.480 0.239
O: 0.601 0.362 0.109
O: 0.373 0.399 0.770
O: 0.794 0.859 0.249
O: 0.445 0.634 0.049